# 1
Entry from Materials Project: a geometry-optimized Na3La structure (PBE).

Its energy above the most stable polymorph in this dataset is 0.11 eV per formula unit.

Cell lengths 5.9129, 5.9129, 5.9129 Å; angles 60.00, 60.00, 60.00 degrees
Last column: nearest neighbours and their distance in Å.
Fractional positions:
Na (0.0000, 0.0000, 0.0000)  8 Na 3.62
Na (0.2500, 0.2500, 0.2500)  4 La 3.62, 4 Na 3.62
Na (0.7500, 0.7500, 0.7500)  4 La 3.62, 4 Na 3.62
La (0.5000, 0.5000, 0.5000)  8 Na 3.62

=====

# 2
Entry from Materials Project: a geometry-optimized NaO structure (PBE).

Cell lengths 3.0065, 5.5260, 6.3701 Å; angles 90.00, 90.00, 90.00 degrees
Last column: nearest neighbours and their distance in Å.
Fractional positions:
Na (0.1805, 0.2500, 0.0000)  6 O 2.40-2.43
Na (0.1805, 0.2500, 0.5000)  6 O 2.40-2.43
Na (0.8195, 0.7500, 0.0000)  6 O 2.40-2.43
Na (0.8195, 0.7500, 0.5000)  6 O 2.40-2.43
O (0.3288, 0.5665, 0.2500)  6 Na 2.40-2.43
O (0.3288, 0.9335, 0.7500)  6 Na 2.40-2.43
O (0.6712, 0.0665, 0.2500)  6 Na 2.40-2.43
O (0.6712, 0.4335, 0.7500)  6 Na 2.40-2.43

=====

# 3
Entry from Materials Project: a geometry-optimized Ho10Si17 structure (PBE).

Cell lengths 10.9359, 10.9359, 10.9359 Å; angles 135.78, 57.99, 144.44 degrees
Last column: nearest neighbours and their distance in Å.
Fractional positions:
Ho (0.0000, 0.2446, 0.2446)  9 Si 2.93-3.26
Ho (0.0000, 0.7554, 0.7554)  9 Si 2.93-3.26
Ho (0.1972, 0.2495, 0.4519)  8 Si 2.90-3.04
Ho (0.1972, 0.7454, 0.9478)  8 Si 2.90-3.04
Ho (0.3922, 0.2404, 0.6474)  9 Si 2.90-3.09
Ho (0.3922, 0.7448, 0.1518)  9 Si 2.90-3.09
Ho (0.5930, 0.2404, 0.8482)  9 Si 2.90-3.09
Ho (0.5930, 0.7448, 0.3526)  9 Si 2.90-3.09
Ho (0.7976, 0.2495, 0.0522)  8 Si 2.90-3.04
Ho (0.7976, 0.7454, 0.5481)  8 Si 2.90-3.04
Si (0.0460, 0.1504, 0.8956)  3 Si 2.33-2.40
Si (0.0588, 0.6590, 0.3998)  3 Si 2.39-2.40
Si (0.0892, 0.8044, 0.2848)  2 Si 2.40-2.42
Si (0.1841, 0.3832, 0.8009)  2 Si 2.39-2.43
Si (0.2549, 0.1504, 0.1044)  3 Si 2.33-2.40
Si (0.2592, 0.6590, 0.6002)  3 Si 2.39-2.40
Si (0.3293, 0.3293, 0.0000)  3 Si 2.33-2.34
Si (0.3728, 0.8728, 0.5000)  2 Si 2.39
Si (0.4646, 0.1640, 0.3006)  3 Si 2.42-2.44
Si (0.5195, 0.8044, 0.7152)  2 Si 2.40-2.42
Si (0.5823, 0.3832, 0.1991)  2 Si 2.39-2.43
Si (0.6726, 0.7941, 0.8785)  2 Si 2.40-2.45
Si (0.6800, 0.6800, 0.0000)  3 Si 2.34-2.45
Si (0.7218, 0.3036, 0.4182)  2 Si 2.40-2.44
Si (0.8635, 0.1640, 0.6994)  3 Si 2.42-2.44
Si (0.8854, 0.3036, 0.5818)  2 Si 2.40-2.44
Si (0.9157, 0.7941, 0.1215)  2 Si 2.40-2.45

=====

# 4
Entry from Materials Project: a geometry-optimized MgTi2S2Cl12O2 structure (PBE).

Its energy above the most stable polymorph in this dataset is 0.00 eV per formula unit.

Cell lengths 6.8254, 8.7589, 10.6497 Å; angles 105.40, 91.60, 111.87 degrees
Last column: nearest neighbours and their distance in Å.
Fractional positions:
Mg (0.0000, 0.0000, 0.0000)  3 Cl 2.25-2.52
Ti (0.1771, 0.2545, 0.7699)  4 Cl 2.21-2.36, 1 O 2.23
Ti (0.3416, 0.6791, 0.0430)  1 O 1.83
S (0.6814, 0.5567, 0.1866)  1 O 1.56
S (0.8667, 0.4058, 0.5891)  1 O 1.48
Cl (0.0523, 0.3887, 0.9743)  2 Ti 2.47-2.52
Cl (0.0776, 0.7479, 0.9218)  1 Mg 2.40, 1 Ti 2.52
Cl (0.1271, 0.5934, 0.5483)  1 S 2.07
Cl (0.1812, 0.1724, 0.1994)  1 Mg 2.25
Cl (0.2446, 0.1590, 0.5693)  1 Ti 2.21
Cl (0.2506, 0.7745, 0.2351)  1 Ti 2.20
Cl (0.3933, 0.1854, 0.8825)  1 Ti 2.22
Cl (0.4160, 0.5437, 0.8063)  2 Ti 2.36-2.64
Cl (0.6174, 0.9372, 0.0334)  1 Ti 2.37, 1 Mg 2.52
Cl (0.6611, 0.6621, 0.3776)  1 S 2.03
Cl (0.7776, 0.2250, 0.4079)  1 S 2.05
Cl (0.8815, 0.0057, 0.7707)  1 Ti 2.36, 1 Mg 2.57
O (0.5276, 0.5996, 0.1034)  1 S 1.56
O (0.9443, 0.3331, 0.6802)  1 S 1.48

=====

# 5
Entry from Materials Project: a geometry-optimized Sr7PtN6 structure (PBE).

Cell lengths 9.6763, 9.6763, 9.6763 Å; angles 139.22, 99.10, 94.85 degrees
Last column: nearest neighbours and their distance in Å.
Fractional positions:
Sr (0.0462, 0.2305, 0.2767)  4 N 2.55-2.78
Sr (0.0868, 0.5078, 0.8569)  4 N 2.52-2.67
Sr (0.1509, 0.0078, 0.4210)  4 N 2.52-2.67
Sr (0.2500, 0.2500, 0.0000)  4 N 2.68
Sr (0.3491, 0.7702, 0.8569)  4 N 2.52-2.67
Sr (0.4132, 0.2702, 0.4210)  4 N 2.52-2.67
Sr (0.4538, 0.7305, 0.1843)  4 N 2.55-2.78
Sr (0.5462, 0.2695, 0.8157)  4 N 2.55-2.78
Sr (0.5868, 0.7298, 0.5790)  4 N 2.52-2.67
Sr (0.6509, 0.2298, 0.1431)  4 N 2.52-2.67
Sr (0.7500, 0.7500, 0.0000)  4 N 2.68
Sr (0.8491, 0.9922, 0.5790)  4 N 2.52-2.67
Sr (0.9132, 0.4922, 0.1431)  4 N 2.52-2.67
Sr (0.9538, 0.7695, 0.7233)  4 N 2.55-2.78
Pt (0.2500, 0.7500, 0.5000)  4 N 2.07
Pt (0.7500, 0.2500, 0.5000)  4 N 2.07
N (0.0782, 0.8829, 0.5686)  1 Pt 2.07
N (0.1448, 0.8990, 0.0438)  4 Sr 2.55-2.62
N (0.1857, 0.6171, 0.1953)  1 Pt 2.07
N (0.3143, 0.5096, 0.4314)  1 Pt 2.07
N (0.3552, 0.3990, 0.7542)  4 Sr 2.55-2.62
N (0.4218, 0.9904, 0.8047)  1 Pt 2.07
N (0.5782, 0.0096, 0.1953)  1 Pt 2.07
N (0.6448, 0.6010, 0.2458)  4 Sr 2.55-2.62
N (0.6857, 0.4904, 0.5686)  1 Pt 2.07
N (0.8143, 0.3829, 0.8047)  1 Pt 2.07
N (0.8552, 0.1010, 0.9562)  4 Sr 2.55-2.62
N (0.9218, 0.1171, 0.4314)  1 Pt 2.07

=====

# 6
Entry from Materials Project: a geometry-optimized Dy2Pt structure (PBE).

Cell lengths 7.1762, 4.7766, 8.8048 Å; angles 90.00, 90.00, 90.00 degrees
Last column: nearest neighbours and their distance in Å.
Fractional positions:
Dy (0.0115, 0.2500, 0.1688)  3 Pt 2.84-3.07
Dy (0.1451, 0.2500, 0.5802)  4 Pt 2.90-2.95
Dy (0.3549, 0.7500, 0.0802)  4 Pt 2.90-2.95
Dy (0.4885, 0.7500, 0.6688)  3 Pt 2.84-3.07
Dy (0.5115, 0.2500, 0.3312)  3 Pt 2.84-3.07
Dy (0.6451, 0.2500, 0.9198)  4 Pt 2.90-2.95
Dy (0.8549, 0.7500, 0.4198)  4 Pt 2.90-2.95
Dy (0.9885, 0.7500, 0.8312)  3 Pt 2.84-3.07
Pt (0.2415, 0.2500, 0.9063)  7 Dy 2.84-3.07
Pt (0.2585, 0.7500, 0.4063)  7 Dy 2.84-3.07
Pt (0.7415, 0.2500, 0.5937)  7 Dy 2.84-3.07
Pt (0.7585, 0.7500, 0.0937)  7 Dy 2.84-3.07

=====

Table of formation enthalpy at 0 K (eV/atom), in record order: 0.317, -1.028, -0.616, -1.296, -0.536, -0.939